[1]
Material: Co3W10C4
Method: DFT, PBE
State: relaxed

Values from the calculation:
ρ: 15.5 g/cm³
calculated volume: 443 Å³ per cell
formation enthalpy at 0 K: 0.271 eV per atom

Cell: 7.962 7.962 8.076 Å, 90.00 90.00 120.00°
Sites, in units of the cell vectors:
W: 0.118 0.882 0.250
W: 0.579 0.789 0.561
W: 0.236 0.118 0.750
W: 0.421 0.211 0.439
W: 0.211 0.789 0.561
W: 0.000 0.000 0.500
W: 0.789 0.211 0.061
W: 0.211 0.421 0.939
W: 0.211 0.789 0.939
W: 0.882 0.118 0.750
W: 0.789 0.579 0.061
W: 0.789 0.211 0.439
W: 0.211 0.421 0.561
W: 0.000 0.000 0.000
W: 0.789 0.579 0.439
W: 0.579 0.789 0.939
W: 0.118 0.236 0.250
W: 0.421 0.211 0.061
W: 0.764 0.882 0.250
W: 0.882 0.764 0.750
C: 0.500 0.000 0.000
C: 0.333 0.667 0.250
C: 0.000 0.500 0.000
C: 0.000 0.500 0.500
C: 0.667 0.333 0.750
C: 0.500 0.500 0.000
C: 0.500 0.500 0.500
C: 0.500 0.000 0.500
Co: 0.532 0.468 0.750
Co: 0.468 0.532 0.250
Co: 0.063 0.532 0.250
Co: 0.468 0.937 0.250
Co: 0.937 0.468 0.750
Co: 0.532 0.063 0.750

---

[2]
Material: Ti2Be3Ga
Method: DFT, PBE
State: relaxed

Values from the calculation:
ρ: 4.4 g/cm³
calculated volume: 73 Å³ per cell
formation enthalpy at 0 K: -0.263 eV per atom

Cell: 4.657 4.657 4.715 Å, 90.00 60.40 120.00°
Sites, in units of the cell vectors:
Be: 0.750 0.375 0.375
Be: 0.250 0.375 0.375
Be: 0.250 0.875 0.375
Ti: 0.000 0.000 0.001
Ti: 0.500 0.750 0.749
Ga: 0.750 0.375 0.875

---

[3]
Material: BiAs2Os
Method: DFT, PBE
State: relaxed

Values from the calculation:
ρ: 11.7 g/cm³
calculated volume: 78 Å³ per cell
formation enthalpy at 0 K: 0.807 eV per atom

Cell: 4.798 4.798 4.798 Å, 60.00 60.00 60.00°
Sites, in units of the cell vectors:
As: 0.250 0.250 0.250
As: 0.000 0.000 0.000
Bi: 0.500 0.500 0.500
Os: 0.750 0.750 0.750

---

[4]
Material: La2CuN2F2
Method: DFT, PBE
State: relaxed

Values from the calculation:
ρ: 6.3 g/cm³
calculated volume: 107 Å³ per cell
formation enthalpy at 0 K: -2.129 eV per atom

Cell: 7.129 7.129 7.129 Å, 147.06 147.06 47.28°
Sites, in units of the cell vectors:
F: 0.750 0.250 0.500
F: 0.250 0.750 0.500
La: 0.623 0.623 0.000
La: 0.377 0.377 0.000
N: 0.000 0.500 0.500
N: 0.500 0.000 0.500
Cu: 0.000 0.000 0.000

---

[5]
Material: Na2Bi5AuO11
Method: DFT, PBE
State: relaxed

Values from the calculation:
ρ: 7.9 g/cm³
calculated volume: 612 Å³ per cell
formation enthalpy at 0 K: -1.449 eV per atom

Cell: 12.496 12.496 3.918 Å, 90.00 90.00 90.00°
Sites, in units of the cell vectors:
O: 0.503 0.828 0.000
O: 0.622 0.609 0.000
O: 0.378 0.391 0.000
O: 0.391 0.622 0.000
O: 0.500 0.000 0.500
O: 0.828 0.497 0.000
O: 0.997 0.328 0.000
O: 0.891 0.878 0.000
O: 0.000 0.500 0.500
O: 0.212 0.288 0.500
O: 0.878 0.109 0.000
O: 0.328 0.003 0.000
O: 0.003 0.672 0.000
O: 0.109 0.122 0.000
O: 0.172 0.503 0.000
O: 0.788 0.712 0.500
O: 0.288 0.788 0.500
O: 0.609 0.378 0.000
O: 0.672 0.997 0.000
O: 0.712 0.212 0.500
O: 0.497 0.172 0.000
O: 0.122 0.891 0.000
Bi: 0.951 0.769 0.500
Bi: 0.049 0.231 0.500
Bi: 0.451 0.731 0.500
Bi: 0.269 0.451 0.500
Bi: 0.769 0.049 0.500
Bi: 0.231 0.951 0.500
Bi: 0.549 0.269 0.500
Bi: 0.000 0.500 0.000
Bi: 0.500 0.000 0.000
Bi: 0.731 0.549 0.500
Na: 0.204 0.704 0.000
Na: 0.296 0.204 0.000
Na: 0.796 0.296 0.000
Na: 0.704 0.796 0.000
Au: 0.000 0.000 0.000
Au: 0.500 0.500 0.000

---

[6]
Material: SmMnCo3Cu
Method: DFT, PBE
State: relaxed

Values from the calculation:
ρ: 8.4 g/cm³
calculated volume: 88 Å³ per cell
formation enthalpy at 0 K: -0.009 eV per atom

Cell: 4.999 4.999 4.046 Å, 90.00 90.00 120.00°
Sites, in units of the cell vectors:
Co: 0.166 0.331 0.500
Co: 0.166 0.834 0.500
Co: 0.669 0.834 0.500
Sm: 0.667 0.333 0.000
Mn: 0.333 0.667 0.000
Cu: 0.000 0.000 0.000

---

[7]
Material: K2RbAlI6
Method: DFT, PBE
State: relaxed

Values from the calculation:
ρ: 3.3 g/cm³
calculated volume: 482 Å³ per cell
formation enthalpy at 0 K: -1.263 eV per atom

Cell: 8.803 8.803 8.803 Å, 60.00 60.00 60.00°
Sites, in units of the cell vectors:
Al: 0.000 0.000 0.000
Rb: 0.500 0.500 0.500
K: 0.250 0.250 0.250
K: 0.750 0.750 0.750
I: 0.777 0.777 0.223
I: 0.777 0.223 0.777
I: 0.777 0.223 0.223
I: 0.223 0.223 0.777
I: 0.223 0.777 0.223
I: 0.223 0.777 0.777

---

[8]
Material: LiBi
Method: DFT, PBE
State: relaxed

Values from the calculation:
ρ: 7.4 g/cm³
calculated volume: 48 Å³ per cell
formation enthalpy at 0 K: -0.374 eV per atom

Cell: 3.352 3.352 4.290 Å, 90.00 90.00 90.00°
Sites, in units of the cell vectors:
Bi: 0.000 0.000 0.000
Li: 0.500 0.500 0.500

---

Question: Number 3 is which compound?
Answer: BiAs2Os